(1)
# FeGeS3 | the Materials Project | GGA-PBE | relaxed
# ΔH_f (0 K)   -542 meV/atom
# E   -5.341 eV per atom
data_FeGeS3
_space_group_name_H-M_alt 'P 1'
_space_group_IT_number 1
_space_group_name_Hall 'P 1'
_cell_length_a 7.718
_cell_length_b 7.718
_cell_length_c 6.041
_cell_angle_alpha 96.17
_cell_angle_beta 96.17
_cell_angle_gamma 83.76
loop_
_atom_site_label
_atom_site_fract_x
_atom_site_fract_y
_atom_site_fract_z
Fe1 0.085 0.915 0.750
Fe2 0.255 0.745 0.250
Fe3 0.745 0.255 0.750
Fe4 0.915 0.085 0.250
Ge1 0.205 0.405 0.716
Ge2 0.405 0.205 0.216
Ge3 0.595 0.795 0.784
Ge4 0.795 0.595 0.284
S1 0.005 0.180 0.611
S2 0.103 0.663 0.916
S3 0.180 0.005 0.111
S4 0.282 0.471 0.379
S5 0.337 0.897 0.584
S6 0.471 0.282 0.879
S7 0.529 0.718 0.121
S8 0.663 0.103 0.416
S9 0.718 0.529 0.621
S10 0.820 0.995 0.889
S11 0.897 0.337 0.084
S12 0.995 0.820 0.389

***

(2)
# Co3Sn2 | the Materials Project | GGA-PBE | relaxed
# ΔH_f (0 K)   44 meV/atom
# E   -5.825 eV per atom
# ΔE to the lowest computed polymorph   62 meV per atom
data_Co3Sn2
_space_group_name_H-M_alt 'P 1'
_space_group_IT_number 1
_space_group_name_Hall 'P 1'
_cell_length_a 4.223
_cell_length_b 4.223
_cell_length_c 5.067
_cell_angle_alpha 90.00
_cell_angle_beta 90.00
_cell_angle_gamma 120.00
loop_
_atom_site_label
_atom_site_fract_x
_atom_site_fract_y
_atom_site_fract_z
Co1 0.000 0.000 0.000
Co2 0.333 0.667 0.254
Co3 0.333 0.667 0.746
Sn1 0.000 0.000 0.500
Sn2 0.667 0.333 0.000

***

(3)
# Li3Cu3P2O8 | the Materials Project | GGA-PBE | relaxed
# ΔH_f (0 K)   -2066 meV/atom
# E   -6.000 eV per atom
# ΔE to the lowest computed polymorph   10 meV per atom
data_Li3Cu3P2O8
_space_group_name_H-M_alt 'P 1'
_space_group_IT_number 1
_space_group_name_Hall 'P 1'
_cell_length_a 5.116
_cell_length_b 6.217
_cell_length_c 5.483
_cell_angle_alpha 90.00
_cell_angle_beta 90.52
_cell_angle_gamma 90.00
loop_
_atom_site_label
_atom_site_fract_x
_atom_site_fract_y
_atom_site_fract_z
Li1 0.000 0.000 0.000
Li2 0.503 0.250 0.828
Li3 0.503 0.750 0.828
Cu1 0.512 0.500 0.337
Cu2 0.997 0.262 0.496
Cu3 0.997 0.738 0.496
P1 0.493 0.000 0.320
P2 0.998 0.500 0.970
O1 0.096 0.500 0.240
O2 0.111 0.291 0.850
O3 0.111 0.709 0.850
O4 0.190 0.000 0.308
O5 0.588 0.201 0.470
O6 0.588 0.799 0.470
O7 0.607 0.000 0.057
O8 0.694 0.500 0.956

***

(4)
# MgZn2 | the Materials Project | GGA-PBE | relaxed
# ΔH_f (0 K)   -67 meV/atom
# E   -1.441 eV per atom
data_MgZn2
_space_group_name_H-M_alt 'P 1'
_space_group_IT_number 1
_space_group_name_Hall 'P 1'
_cell_length_a 7.472
_cell_length_b 7.472
_cell_length_c 4.670
_cell_angle_alpha 90.00
_cell_angle_beta 90.00
_cell_angle_gamma 156.99
loop_
_atom_site_label
_atom_site_fract_x
_atom_site_fract_y
_atom_site_fract_z
Mg1 0.110 0.890 0.750
Mg2 0.890 0.110 0.250
Zn1 0.221 0.779 0.250
Zn2 0.443 0.557 0.750
Zn3 0.557 0.443 0.250
Zn4 0.779 0.221 0.750

***

(5)
# Ga | the Materials Project | GGA-PBE | relaxed
# ΔH_f (0 K)   15 meV/atom
# E   -3.013 eV per atom
# ΔE to the lowest computed polymorph   15 meV per atom
data_Ga
_space_group_name_H-M_alt 'P 1'
_space_group_IT_number 1
_space_group_name_Hall 'P 1'
_cell_length_a 4.657
_cell_length_b 4.657
_cell_length_c 3.103
_cell_angle_alpha 90.00
_cell_angle_beta 90.00
_cell_angle_gamma 145.61
loop_
_atom_site_label
_atom_site_fract_x
_atom_site_fract_y
_atom_site_fract_z
Ga1 0.132 0.868 0.750
Ga2 0.868 0.132 0.250

***

(6)
# Sr9Zn3Cu2O14 | the Materials Project | GGA-PBE | relaxed
# ΔH_f (0 K)   -2417 meV/atom
# E   -5.518 eV per atom
data_Sr9Zn3Cu2O14
_space_group_name_H-M_alt 'P 1'
_space_group_IT_number 1
_space_group_name_Hall 'P 1'
_cell_length_a 3.667
_cell_length_b 11.425
_cell_length_c 11.455
_cell_angle_alpha 98.36
_cell_angle_beta 99.16
_cell_angle_gamma 90.00
loop_
_atom_site_label
_atom_site_fract_x
_atom_site_fract_y
_atom_site_fract_z
Sr1 0.000 0.000 0.000
Sr2 0.002 0.319 0.005
Sr3 0.008 0.675 0.018
Sr4 0.613 0.526 0.237
Sr5 0.624 0.889 0.258
Sr6 0.639 0.184 0.274
Sr7 0.795 0.275 0.596
Sr8 0.805 0.597 0.628
Sr9 0.823 0.910 0.647
Zn1 0.197 0.398 0.403
Zn2 0.416 0.139 0.831
Zn3 0.423 0.803 0.849
Cu1 0.198 0.723 0.414
Cu2 0.416 0.476 0.839
O1 0.104 0.027 0.214
O2 0.104 0.375 0.221
O3 0.116 0.699 0.249
O4 0.220 0.241 0.448
O5 0.280 0.747 0.574
O6 0.332 0.453 0.680
O7 0.396 0.963 0.798
O8 0.499 0.501 0.004
O9 0.508 0.170 0.016
O10 0.514 0.828 0.032
O11 0.715 0.464 0.439
O12 0.740 0.009 0.466
O13 0.893 0.192 0.786
O14 0.905 0.739 0.814

***

What is the ΔH_f (0 K) in the fourth record?
-67 meV/atom

***

Number 2 is which compound?
Co3Sn2

***

Which of these has the lowest E?
Li3Cu3P2O8